Below is a relaxed structure of CaFe8O8F8, with properties calculated at the PBE with a Hubbard U level.

ΔH_f (0 K) = -2.11 eV per atom
Crystal system = triclinic
Final energy = -150.1 eV for the cell shown
Size of the total moment = 1.52 μB per atom
Volume = 13.038 Å³ per atom
Theoretical density = 3.91 g/cm³

```
CaFe8O8F8
1.0
-3.2242 3.3424 -2.1369
-3.5570 -3.9761 -0.4789
-4.3826 2.0699 10.8939
Ca Fe O F
1 8 8 8
direct
0.5535 0.0229 0.9870 Ca
0.0462 0.6534 0.9847 Fe
0.0446 0.0762 0.2487 Fe
0.9434 0.9293 0.4972 Fe
0.0845 0.0437 0.7438 Fe
0.5551 0.4494 0.1466 Fe
0.4387 0.5717 0.6207 Fe
0.4928 0.5205 0.8588 Fe
0.4121 0.5861 0.3742 Fe
0.1633 0.8448 0.3693 O
0.1884 0.8338 0.6200 O
0.2376 0.8371 0.8690 O
0.2972 0.3546 0.2558 O
0.3180 0.3327 0.7377 O
0.6736 0.6236 0.0068 O
0.6562 0.6870 0.4951 O
0.7775 0.1804 0.1408 O
0.2149 0.8548 0.1248 F
0.2712 0.3369 0.0197 F
0.2714 0.3672 0.4969 F
0.6820 0.6905 0.2567 F
0.7053 0.7020 0.7344 F
0.8178 0.1737 0.3766 F
0.8309 0.1556 0.6171 F
0.8241 0.1858 0.8552 F
```

***

Below is a relaxed structure of KCaV2F9, with properties calculated at the PBE with a Hubbard U level.

ΔH_f (0 K) = -3.45 eV per atom
Crystal system = orthorhombic
Final energy = -454.5 eV for the cell shown
Size of the total moment = 0.31 μB per atom
Volume = 15.261 Å³ per atom
Theoretical density = 2.95 g/cm³

```
KCaV2F9
1.0
3.8104 -6.5361 0.0000
3.8104 6.5361 0.0000
0.0000 0.0000 23.8968
K Ca V F
6 6 12 54
direct
0.4889 0.5111 0.7500 K
0.5111 0.4889 0.2500 K
0.5377 0.4948 0.5839 K
0.4623 0.5052 0.0839 K
0.5052 0.4623 0.9161 K
0.4948 0.5377 0.4161 K
0.0168 0.0168 0.5000 Ca
0.9832 0.9832 0.0000 Ca
0.0005 0.4851 0.8332 Ca
0.9995 0.5149 0.3332 Ca
0.5149 0.9995 0.6668 Ca
0.4851 0.0005 0.1668 Ca
0.0190 0.5183 0.5019 V
0.9810 0.4817 0.0019 V
0.4817 0.9810 0.9981 V
0.5183 0.0190 0.4981 V
0.0129 0.4977 0.6649 V
0.9871 0.5023 0.1649 V
0.5023 0.9871 0.8351 V
0.4977 0.0129 0.3351 V
0.9873 0.0023 0.1685 V
0.0127 0.9977 0.6685 V
0.9977 0.0127 0.3315 V
0.0023 0.9873 0.8315 V
0.1754 0.3789 0.5162 F
0.8246 0.6211 0.0162 F
0.6211 0.8246 0.9838 F
0.3789 0.1754 0.4838 F
0.7210 0.3641 0.6801 F
0.2790 0.6359 0.1801 F
0.6359 0.2790 0.8199 F
0.3641 0.7210 0.3199 F
0.9645 0.2243 0.6486 F
0.0355 0.7757 0.1486 F
0.7757 0.0355 0.8514 F
0.2243 0.9645 0.3514 F
0.0756 0.4762 0.7434 F
0.9244 0.5238 0.2434 F
0.5238 0.9244 0.7566 F
0.4762 0.0756 0.2566 F
0.0416 0.9707 0.5895 F
0.9584 0.0293 0.0895 F
0.0293 0.9584 0.9105 F
0.9707 0.0416 0.4105 F
0.2471 0.7918 0.5172 F
0.7529 0.2082 0.0172 F
0.2082 0.7529 0.9828 F
0.7918 0.2471 0.4828 F
0.9747 0.0253 0.7500 F
0.0253 0.9747 0.2500 F
0.9060 0.4591 0.9231 F
0.0940 0.5409 0.4231 F
0.5409 0.0940 0.5769 F
0.4591 0.9060 0.0769 F
0.1709 0.2826 0.8373 F
0.8291 0.7174 0.3373 F
0.7174 0.8291 0.6627 F
0.2826 0.1709 0.1627 F
0.1417 0.3475 0.9885 F
0.8583 0.6525 0.4885 F
0.6525 0.8583 0.5115 F
0.3475 0.1417 0.0115 F
0.8359 0.6924 0.8238 F
0.1641 0.3076 0.3238 F
0.3076 0.1641 0.6762 F
0.6924 0.8359 0.1762 F
0.0581 0.7678 0.6853 F
0.9419 0.2322 0.1853 F
0.2322 0.9419 0.8147 F
0.7678 0.0581 0.3147 F
0.3055 0.6374 0.6484 F
0.6945 0.3626 0.1484 F
0.3626 0.6945 0.8516 F
0.6374 0.3055 0.3516 F
0.9439 0.5063 0.5833 F
0.0561 0.4937 0.0833 F
0.4937 0.0561 0.9167 F
0.5063 0.9439 0.4167 F
```

***

Below is a relaxed structure of CaMnF4, with properties calculated at the PBE with a Hubbard U level.

ΔH_f (0 K) = -3.56 eV per atom
Crystal system = tetragonal
Final energy = -73.4 eV for the cell shown
Size of the total moment = 0.83 μB per atom
Volume = 13.421 Å³ per atom
Theoretical density = 3.53 g/cm³

```
CaMnF4
1.0
3.6977 1.6967 5.2654
1.2465 6.5328 -0.2097
-5.6751 -3.4384 -0.4964
Ca Mn F
2 2 8
direct
0.7500 0.7500 0.0000 Ca
0.2500 0.2500 0.0000 Ca
0.0000 0.5000 0.5000 Mn
0.5000 0.0000 0.5000 Mn
0.9114 0.4114 0.0742 F
0.6628 0.1628 0.0742 F
0.0886 0.5886 0.9258 F
0.5886 0.6628 0.5000 F
0.3372 0.8372 0.9258 F
0.8372 0.9114 0.5000 F
0.4114 0.3372 0.5000 F
0.1628 0.0886 0.5000 F
```

***

Below is a relaxed structure of Na5Ca7Zr2TiMnSi8O32F4, with properties calculated at the PBE with a Hubbard U level.

ΔH_f (0 K) = -3.26 eV per atom
Crystal system = triclinic
Final energy = -434.2 eV for the cell shown
Size of the total moment = 0.03 μB per atom
Volume = 12.961 Å³ per atom
Theoretical density = 3.19 g/cm³

```
Na5Ca7Zr2TiMnSi8O32F4
1.0
-4.6510 4.9618 -2.5833
-6.2093 -5.4334 5.9341
5.5233 8.2420 5.9354
Na Ca Zr Ti Mn Si O F
5 7 2 1 1 8 32 4
direct
0.4088 0.6427 0.7102 Na
0.5912 0.3573 0.2898 Na
0.7543 0.0037 0.7461 Na
0.2457 0.9963 0.2539 Na
0.5000 0.0000 0.5000 Na
0.4123 0.6335 0.2103 Ca
0.5877 0.3665 0.7897 Ca
0.2302 0.9937 0.7419 Ca
0.7698 0.0063 0.2581 Ca
0.9110 0.6394 0.2162 Ca
0.0890 0.3606 0.7838 Ca
0.5000 0.0000 0.0000 Ca
0.9141 0.6518 0.7241 Zr
0.0859 0.3482 0.2759 Zr
0.0000 0.0000 0.5000 Ti
0.0000 0.0000 0.0000 Mn
0.6533 0.7176 0.9865 Si
0.3467 0.2824 0.0135 Si
0.2048 0.7220 0.9894 Si
0.7952 0.2780 0.0106 Si
0.2069 0.7076 0.4908 Si
0.7931 0.2924 0.5092 Si
0.6540 0.7075 0.4876 Si
0.3460 0.2925 0.5124 Si
0.1417 0.5913 0.3476 O
0.8583 0.4087 0.6524 O
0.6611 0.6079 0.3422 O
0.3389 0.3921 0.6578 O
0.1230 0.6599 0.6033 O
0.8770 0.3401 0.3967 O
0.6958 0.6209 0.8446 O
0.3042 0.3791 0.1554 O
0.7770 0.8731 0.5232 O
0.2230 0.1269 0.4768 O
0.7103 0.6497 0.5951 O
0.2897 0.3503 0.4049 O
0.1697 0.8705 0.5186 O
0.8303 0.1295 0.4814 O
0.1717 0.8908 0.0357 O
0.8283 0.1092 0.9643 O
0.9742 0.8712 0.8246 O
0.0258 0.1288 0.1754 O
0.1631 0.6568 0.0962 O
0.8369 0.3432 0.9038 O
0.6646 0.6455 0.0884 O
0.3354 0.3545 0.9116 O
0.4379 0.7506 0.9752 O
0.5621 0.2494 0.0248 O
0.1100 0.6210 0.8486 O
0.8900 0.3790 0.1514 O
0.7764 0.8859 0.0374 O
0.2236 0.1141 0.9626 O
0.9630 0.8915 0.3236 O
0.0370 0.1085 0.6764 O
0.4367 0.7349 0.5089 O
0.5633 0.2651 0.4911 O
0.4887 0.8794 0.2915 F
0.5113 0.1206 0.7085 F
0.4607 0.8946 0.7933 F
0.5393 0.1054 0.2067 F
```

***

Q: The highest size of the total moment belongs to which entry?
A: CaFe8O8F8

***

Q: Which value of volume does entry 2 give?
A: 15.261 Å³ per atom